Version a
The following is a PBE with a Hubbard U calculation of crystalline Li4Mn3O7 at its relaxed geometry, from Materials Project.

Structure (CIF):
```
data_Li4Mn3O7
_cell_length_a 3.004
_cell_length_b 6.065
_cell_length_c 14.501
_cell_angle_alpha 83.42
_cell_angle_beta 84.53
_cell_angle_gamma 85.59
_symmetry_space_group_name_H-M 'P 1'
_symmetry_Int_Tables_number 1
loop_
_symmetry_equiv_pos_as_xyz
'x,y,z'
loop_
_atom_site_label
_atom_site_type_symbol
_atom_site_fract_x
_atom_site_fract_y
_atom_site_fract_z
Mn1 Mn 0.368 0.435 0.785
Mn2 Mn 0.632 0.565 0.215
Mn3 Mn 0.213 0.857 0.073
Mn4 Mn 0.787 0.143 0.927
Mn5 Mn 0.063 0.276 0.364
Mn6 Mn 0.937 0.724 0.636
O1 O 0.594 0.070 0.358
O2 O 0.101 0.328 0.222
O3 O 0.457 0.495 0.646
O4 O 0.249 0.898 0.934
O5 O 0.175 0.813 0.211
O6 O 0.009 0.255 0.491
O7 O 0.543 0.505 0.354
O8 O 0.677 0.612 0.078
O9 O 0.899 0.672 0.778
O10 O 0.825 0.187 0.789
O11 O 0.991 0.745 0.509
O12 O 0.751 0.102 0.066
O13 O 0.406 0.930 0.642
O14 O 0.323 0.388 0.922
Li1 Li 0.354 0.925 0.785
Li2 Li 0.500 0.000 0.500
Li3 Li 0.213 0.357 0.071
Li4 Li 0.500 0.500 0.500
Li5 Li 0.062 0.790 0.369
Li6 Li 0.787 0.643 0.929
Li7 Li 0.646 0.075 0.215
Li8 Li 0.938 0.210 0.631
```

## Properties
magnetization = 22.00 μB/cell
space group = P-1 (2)

Version b
The following is a PBE with a Hubbard U calculation of crystalline Li4Mn3O7 at its relaxed geometry, from Materials Project.

Structure (CIF):
```
data_Li4Mn3O7
_cell_length_a 5.319
_cell_length_b 5.996
_cell_length_c 8.692
_cell_angle_alpha 91.67
_cell_angle_beta 93.91
_cell_angle_gamma 110.30
_symmetry_space_group_name_H-M 'P 1'
_symmetry_Int_Tables_number 1
loop_
_symmetry_equiv_pos_as_xyz
'x,y,z'
loop_
_atom_site_label
_atom_site_type_symbol
_atom_site_fract_x
_atom_site_fract_y
_atom_site_fract_z
Li1 Li 0.000 0.000 0.500
Li2 Li 0.855 0.714 0.215
Li3 Li 0.145 0.286 0.785
Li4 Li 0.422 0.851 0.362
Li5 Li 0.578 0.149 0.638
Li6 Li 0.286 0.571 0.075
Li7 Li 0.000 0.500 0.500
Li8 Li 0.714 0.429 0.925
Mn1 Mn 0.141 0.782 0.783
Mn2 Mn 0.286 0.071 0.072
Mn3 Mn 0.429 0.358 0.359
Mn4 Mn 0.571 0.642 0.641
Mn5 Mn 0.859 0.218 0.217
Mn6 Mn 0.714 0.929 0.928
O1 O 0.166 0.048 0.285
O2 O 0.597 0.906 0.136
O3 O 0.314 0.335 0.565
O4 O 0.975 0.237 0.003
O5 O 0.843 0.497 0.710
O6 O 0.834 0.952 0.715
O7 O 0.686 0.665 0.435
O8 O 0.451 0.617 0.849
O9 O 0.025 0.763 0.997
O10 O 0.693 0.199 0.411
O11 O 0.307 0.801 0.589
O12 O 0.403 0.094 0.864
O13 O 0.549 0.383 0.151
O14 O 0.157 0.503 0.290
```

## Properties
magnetization = 22.00 μB/cell
space group = P-1 (2)

Version c
The following is a PBE with a Hubbard U calculation of crystalline Li4Mn3O7 at its relaxed geometry, from Materials Project.

Structure (CIF):
```
data_Li4Mn3O7
_cell_length_a 6.048
_cell_length_b 7.658
_cell_length_c 6.468
_cell_angle_alpha 103.77
_cell_angle_beta 77.54
_cell_angle_gamma 70.40
_symmetry_space_group_name_H-M 'P 1'
_symmetry_Int_Tables_number 1
loop_
_symmetry_equiv_pos_as_xyz
'x,y,z'
loop_
_atom_site_label
_atom_site_type_symbol
_atom_site_fract_x
_atom_site_fract_y
_atom_site_fract_z
O1 O 0.966 0.938 0.274
O2 O 0.085 0.058 0.717
O3 O 0.941 0.776 0.849
O4 O 0.749 0.491 0.012
O5 O 0.462 0.935 0.307
O6 O 0.773 0.653 0.436
O7 O 0.110 0.210 0.128
O8 O 0.402 0.772 0.833
O9 O 0.312 0.657 0.453
O10 O 0.630 0.370 0.569
O11 O 0.604 0.218 0.158
O12 O 0.253 0.493 0.979
O13 O 0.167 0.377 0.597
O14 O 0.547 0.052 0.689
Mn1 Mn 0.135 0.295 0.863
Mn2 Mn 0.579 0.134 0.423
Mn3 Mn 0.008 0.995 0.003
Mn4 Mn 0.706 0.433 0.283
Mn5 Mn 0.440 0.852 0.566
Mn6 Mn 0.275 0.576 0.720
Li1 Li 0.780 0.580 0.733
Li2 Li 0.357 0.714 0.143
Li3 Li 0.499 0.002 0.005
Li4 Li 0.623 0.301 0.868
Li5 Li 0.215 0.427 0.281
Li6 Li 0.934 0.849 0.553
Li7 Li 0.091 0.128 0.418
Li8 Li 0.857 0.714 0.143
```

## Properties
magnetization = 22.00 μB/cell
space group = P-1 (2)

Most stable: version b. Least stable: version a.

Version a
The following is a PBE with a Hubbard U calculation of crystalline Li4Mn3O7 at its relaxed geometry, from Materials Project.

Structure (CIF):
```
data_Li4Mn3O7
_cell_length_a 5.285
_cell_length_b 7.671
_cell_length_c 7.769
_cell_angle_alpha 116.17
_cell_angle_beta 105.81
_cell_angle_gamma 97.36
_symmetry_space_group_name_H-M 'P 1'
_symmetry_Int_Tables_number 1
loop_
_symmetry_equiv_pos_as_xyz
'x,y,z'
loop_
_atom_site_label
_atom_site_type_symbol
_atom_site_fract_x
_atom_site_fract_y
_atom_site_fract_z
O1 O 0.439 0.045 0.199
O2 O 0.581 0.468 0.343
O3 O 0.804 0.318 0.604
O4 O 0.283 0.614 0.049
O5 O 0.056 0.263 0.263
O6 O 0.196 0.682 0.396
O7 O 0.717 0.386 0.951
O8 O 0.144 0.193 0.902
O9 O 0.944 0.737 0.737
O10 O 0.856 0.807 0.098
O11 O 0.721 0.892 0.489
O12 O 0.279 0.108 0.511
O13 O 0.561 0.955 0.801
O14 O 0.419 0.532 0.657
Mn1 Mn 0.152 0.425 0.141
Mn2 Mn 0.723 0.141 0.721
Mn3 Mn 0.421 0.284 0.423
Mn4 Mn 0.579 0.716 0.577
Mn5 Mn 0.848 0.575 0.859
Mn6 Mn 0.277 0.859 0.279
Li1 Li 0.144 0.932 0.660
Li2 Li 0.856 0.068 0.340
Li3 Li 0.000 0.000 0.000
Li4 Li 0.000 0.500 0.500
Li5 Li 0.550 0.204 0.059
Li6 Li 0.450 0.796 0.941
Li7 Li 0.703 0.644 0.206
Li8 Li 0.297 0.356 0.794
```

## Properties
magnetization = 22.00 μB/cell
space group = P-1 (2)

Version b
The following is a PBE with a Hubbard U calculation of crystalline Li4Mn3O7 at its relaxed geometry, from Materials Project.

Structure (CIF):
```
data_Li4Mn3O7
_cell_length_a 9.893
_cell_length_b 9.893
_cell_length_c 9.886
_cell_angle_alpha 69.12
_cell_angle_beta 69.12
_cell_angle_gamma 16.73
_symmetry_space_group_name_H-M 'P 1'
_symmetry_Int_Tables_number 1
loop_
_symmetry_equiv_pos_as_xyz
'x,y,z'
loop_
_atom_site_label
_atom_site_type_symbol
_atom_site_fract_x
_atom_site_fract_y
_atom_site_fract_z
O1 O 0.463 0.463 0.375
O2 O 0.832 0.832 0.455
O3 O 0.749 0.749 0.239
O4 O 0.537 0.537 0.625
O5 O 0.025 0.025 0.125
O6 O 0.678 0.678 0.052
O7 O 0.604 0.604 0.812
O8 O 0.322 0.322 0.948
O9 O 0.892 0.892 0.658
O10 O 0.975 0.975 0.875
O11 O 0.396 0.396 0.188
O12 O 0.168 0.168 0.545
O13 O 0.108 0.108 0.342
O14 O 0.251 0.251 0.761
Mn1 Mn 0.936 0.936 0.269
Mn2 Mn 0.359 0.359 0.562
Mn3 Mn 0.641 0.641 0.438
Mn4 Mn 0.787 0.787 0.854
Mn5 Mn 0.213 0.213 0.146
Mn6 Mn 0.064 0.064 0.731
Li1 Li 0.708 0.708 0.654
Li2 Li 0.000 0.000 0.500
Li3 Li 0.500 0.500 0.000
Li4 Li 0.292 0.292 0.346
Li5 Li 0.137 0.137 0.935
Li6 Li 0.568 0.568 0.210
Li7 Li 0.432 0.432 0.790
Li8 Li 0.863 0.863 0.065
```

## Properties
magnetization = 22.00 μB/cell
space group = C2/m (12)

Version c
The following is a PBE with a Hubbard U calculation of crystalline Li4Mn3O7 at its relaxed geometry, from Materials Project.

Structure (CIF):
```
data_Li4Mn3O7
_cell_length_a 6.509
_cell_length_b 6.541
_cell_length_c 6.925
_cell_angle_alpha 73.77
_cell_angle_beta 71.52
_cell_angle_gamma 72.19
_symmetry_space_group_name_H-M 'P 1'
_symmetry_Int_Tables_number 1
loop_
_symmetry_equiv_pos_as_xyz
'x,y,z'
loop_
_atom_site_label
_atom_site_type_symbol
_atom_site_fract_x
_atom_site_fract_y
_atom_site_fract_z
Li1 Li 0.500 0.000 0.000
Li2 Li 0.702 0.356 0.926
Li3 Li 0.565 0.791 0.651
Li4 Li 0.298 0.644 0.074
Li5 Li 0.435 0.209 0.349
Li6 Li 0.855 0.926 0.222
Li7 Li 0.145 0.074 0.778
Li8 Li 0.000 0.500 0.500
Mn1 Mn 0.079 0.286 0.146
Mn2 Mn 0.640 0.579 0.278
Mn3 Mn 0.360 0.421 0.722
Mn4 Mn 0.784 0.139 0.580
Mn5 Mn 0.216 0.861 0.420
Mn6 Mn 0.921 0.714 0.854
O1 O 0.375 0.325 0.045
O2 O 0.176 0.971 0.140
O3 O 0.760 0.256 0.279
O4 O 0.625 0.675 0.955
O5 O 0.951 0.597 0.186
O6 O 0.099 0.158 0.477
O7 O 0.326 0.563 0.380
O8 O 0.674 0.437 0.620
O9 O 0.049 0.403 0.814
O10 O 0.478 0.121 0.668
O11 O 0.901 0.842 0.523
O12 O 0.240 0.744 0.721
O13 O 0.522 0.879 0.332
O14 O 0.824 0.029 0.860
```

## Properties
magnetization = 22.00 μB/cell
space group = P-1 (2)

Most stable: version a. Least stable: version b.

Version a
The following is a PBE with a Hubbard U calculation of crystalline Li4Mn3O7 at its relaxed geometry, from Materials Project.

Structure (CIF):
```
data_Li4Mn3O7
_cell_length_a 5.068
_cell_length_b 6.488
_cell_length_c 7.995
_cell_angle_alpha 85.49
_cell_angle_beta 81.71
_cell_angle_gamma 83.14
_symmetry_space_group_name_H-M 'P 1'
_symmetry_Int_Tables_number 1
loop_
_symmetry_equiv_pos_as_xyz
'x,y,z'
loop_
_atom_site_label
_atom_site_type_symbol
_atom_site_fract_x
_atom_site_fract_y
_atom_site_fract_z
O1 O 0.200 0.152 0.363
O2 O 0.596 0.303 0.537
O3 O 0.800 0.848 0.637
O4 O 0.404 0.697 0.463
O5 O 0.136 0.276 0.038
O6 O 0.864 0.724 0.962
O7 O 0.554 0.405 0.174
O8 O 0.446 0.595 0.826
O9 O 0.651 0.129 0.911
O10 O 0.982 0.554 0.322
O11 O 0.349 0.871 0.089
O12 O 0.259 0.981 0.749
O13 O 0.741 0.019 0.251
O14 O 0.018 0.446 0.678
Li1 Li 0.338 0.279 0.797
Li2 Li 0.662 0.721 0.203
Li3 Li 0.922 0.144 0.657
Li4 Li 0.000 0.000 0.000
Li5 Li 0.209 0.573 0.069
Li6 Li 0.791 0.427 0.931
Li7 Li 0.500 0.000 0.500
Li8 Li 0.078 0.856 0.343
Mn1 Mn 0.292 0.428 0.425
Mn2 Mn 0.131 0.718 0.727
Mn3 Mn 0.436 0.142 0.132
Mn4 Mn 0.564 0.858 0.868
Mn5 Mn 0.869 0.282 0.273
Mn6 Mn 0.708 0.572 0.575
```

## Properties
magnetization = 22.00 μB/cell
space group = P-1 (2)

Version b
The following is a PBE with a Hubbard U calculation of crystalline Li4Mn3O7 at its relaxed geometry, from Materials Project.

Structure (CIF):
```
data_Li4Mn3O7
_cell_length_a 2.998
_cell_length_b 9.777
_cell_length_c 9.952
_cell_angle_alpha 115.74
_cell_angle_beta 94.31
_cell_angle_gamma 96.10
_symmetry_space_group_name_H-M 'P 1'
_symmetry_Int_Tables_number 1
loop_
_symmetry_equiv_pos_as_xyz
'x,y,z'
loop_
_atom_site_label
_atom_site_type_symbol
_atom_site_fract_x
_atom_site_fract_y
_atom_site_fract_z
O1 O 0.036 0.058 0.878
O2 O 0.428 0.914 0.615
O3 O 0.572 0.086 0.385
O4 O 0.352 0.633 0.031
O5 O 0.578 0.203 0.193
O6 O 0.218 0.509 0.254
O7 O 0.964 0.942 0.122
O8 O 0.648 0.367 0.969
O9 O 0.782 0.491 0.746
O10 O 0.083 0.224 0.677
O11 O 0.422 0.797 0.807
O12 O 0.917 0.776 0.323
O13 O 0.208 0.344 0.458
O14 O 0.792 0.656 0.542
Li1 Li 0.500 0.000 0.000
Li2 Li 0.709 0.426 0.357
Li3 Li 0.855 0.728 0.940
Li4 Li 0.558 0.139 0.794
Li5 Li 0.291 0.574 0.643
Li6 Li 0.145 0.272 0.060
Li7 Li 0.442 0.861 0.206
Li8 Li 0.000 0.000 0.500
Mn1 Mn 0.785 0.572 0.144
Mn2 Mn 0.348 0.712 0.431
Mn3 Mn 0.652 0.288 0.569
Mn4 Mn 0.074 0.136 0.275
Mn5 Mn 0.215 0.428 0.856
Mn6 Mn 0.926 0.864 0.725
```

## Properties
magnetization = 22.00 μB/cell
space group = P-1 (2)

Most stable: version a. Least stable: version b.

Version a
The following is a PBE with a Hubbard U calculation of crystalline Li4Mn3O7 at its relaxed geometry, from Materials Project.

Structure (CIF):
```
data_Li4Mn3O7
_cell_length_a 5.075
_cell_length_b 5.093
_cell_length_c 10.489
_cell_angle_alpha 101.82
_cell_angle_beta 95.47
_cell_angle_gamma 100.69
_symmetry_space_group_name_H-M 'P 1'
_symmetry_Int_Tables_number 1
loop_
_symmetry_equiv_pos_as_xyz
'x,y,z'
loop_
_atom_site_label
_atom_site_type_symbol
_atom_site_fract_x
_atom_site_fract_y
_atom_site_fract_z
O1 O 0.553 0.622 0.389
O2 O 0.119 0.812 0.027
O3 O 0.602 0.651 0.894
O4 O 0.729 0.905 0.696
O5 O 0.021 0.524 0.760
O6 O 0.728 0.958 0.184
O7 O 0.979 0.476 0.240
O8 O 0.398 0.349 0.106
O9 O 0.271 0.095 0.304
O10 O 0.870 0.237 0.471
O11 O 0.881 0.188 0.973
O12 O 0.130 0.763 0.529
O13 O 0.447 0.378 0.611
O14 O 0.272 0.042 0.816
Mn1 Mn 0.208 0.429 0.426
Mn2 Mn 0.633 0.288 0.275
Mn3 Mn 0.935 0.853 0.866
Mn4 Mn 0.065 0.147 0.134
Mn5 Mn 0.367 0.712 0.725
Mn6 Mn 0.792 0.571 0.574
Li1 Li 0.766 0.572 0.065
Li2 Li 0.234 0.428 0.935
Li3 Li 0.359 0.713 0.209
Li4 Li 0.080 0.141 0.649
Li5 Li 0.500 0.000 0.500
Li6 Li 0.500 0.000 0.000
Li7 Li 0.641 0.287 0.791
Li8 Li 0.920 0.859 0.351
```

## Properties
magnetization = 22.00 μB/cell
space group = P-1 (2)

Version b
The following is a PBE with a Hubbard U calculation of crystalline Li4Mn3O7 at its relaxed geometry, from Materials Project.

Structure (CIF):
```
data_Li4Mn3O7
_cell_length_a 6.887
_cell_length_b 6.887
_cell_length_c 14.758
_cell_angle_alpha 65.77
_cell_angle_beta 65.77
_cell_angle_gamma 24.16
_symmetry_space_group_name_H-M 'P 1'
_symmetry_Int_Tables_number 1
loop_
_symmetry_equiv_pos_as_xyz
'x,y,z'
loop_
_atom_site_label
_atom_site_type_symbol
_atom_site_fract_x
_atom_site_fract_y
_atom_site_fract_z
Li1 Li 0.573 0.573 0.643
Li2 Li 0.000 0.000 0.500
Li3 Li 0.289 0.289 0.069
Li4 Li 0.135 0.135 0.791
Li5 Li 0.427 0.427 0.357
Li6 Li 0.865 0.865 0.209
Li7 Li 0.711 0.711 0.931
Li8 Li 0.000 0.000 0.000
O1 O 0.995 0.995 0.763
O2 O 0.280 0.280 0.331
O3 O 0.720 0.720 0.669
O4 O 0.557 0.557 0.889
O5 O 0.426 0.426 0.620
O6 O 0.443 0.443 0.111
O7 O 0.863 0.863 0.955
O8 O 0.005 0.005 0.237
O9 O 0.137 0.137 0.045
O10 O 0.299 0.299 0.818
O11 O 0.855 0.855 0.474
O12 O 0.701 0.701 0.182
O13 O 0.574 0.574 0.380
O14 O 0.145 0.145 0.526
Mn1 Mn 0.141 0.141 0.282
Mn2 Mn 0.859 0.859 0.718
Mn3 Mn 0.564 0.564 0.137
Mn4 Mn 0.436 0.436 0.863
Mn5 Mn 0.287 0.287 0.572
Mn6 Mn 0.713 0.713 0.428
```

## Properties
magnetization = 22.00 μB/cell
space group = C2/m (12)

Most stable: version a. Least stable: version b.